First-principles (GGA+U) data for an optimized crystal structure of ZrCrO4, as listed in the Materials Project.

```
data_ZrCrO4
_symmetry_space_group_name_H-M 'P 1'
_symmetry_Int_Tables_number 1
_cell_length_a 4.790
_cell_length_b 4.935
_cell_length_c 11.770
_cell_angle_alpha 90.53
_cell_angle_beta 90.63
_cell_angle_gamma 90.04
loop_
_symmetry_equiv_pos_as_xyz
'x,y,z'
loop_
_atom_site_label
_atom_site_fract_x
_atom_site_fract_y
_atom_site_fract_z
Zr1 0.000 0.000 0.000
Zr2 0.009 0.521 0.331
Zr3 0.482 0.025 0.500
Zr4 0.497 0.537 0.831
Cr1 0.495 0.503 0.096
Cr2 0.508 0.018 0.236
Cr3 0.988 0.527 0.596
Cr4 0.990 0.032 0.736
O1 0.215 0.352 0.477
O2 0.219 0.859 0.855
O3 0.222 0.831 0.616
O4 0.223 0.332 0.717
O5 0.269 0.321 0.217
O6 0.279 0.849 0.354
O7 0.280 0.832 0.113
O8 0.283 0.356 0.980
O9 0.715 0.172 0.351
O10 0.721 0.676 0.978
O11 0.721 0.692 0.219
O12 0.732 0.202 0.114
O13 0.771 0.202 0.612
O14 0.772 0.704 0.719
O15 0.778 0.675 0.481
O16 0.780 0.179 0.850
```

Summary:
* E_form: -2869 meV/atom
* density: 4.948 g cm⁻³
* spin magnetization: 3.99 Bohr magnetons per cell
* uncorrected energy: -8.41 eV per atom
* SG: P1 (1)

First-principles (GGA+U) data for an optimized crystal structure of ZrCrO3, as listed in the Materials Project.

```
data_ZrCrO3
_symmetry_space_group_name_H-M 'P 1'
_symmetry_Int_Tables_number 1
_cell_length_a 5.382
_cell_length_b 9.350
_cell_length_c 4.953
_cell_angle_alpha 90.00
_cell_angle_beta 90.00
_cell_angle_gamma 90.00
loop_
_symmetry_equiv_pos_as_xyz
'x,y,z'
loop_
_atom_site_label
_atom_site_fract_x
_atom_site_fract_y
_atom_site_fract_z
Zr1 0.047 0.250 0.047
Zr2 0.453 0.750 0.547
Zr3 0.547 0.250 0.453
Zr4 0.953 0.750 0.953
Cr1 0.000 0.000 0.500
Cr2 0.000 0.500 0.500
Cr3 0.500 0.000 0.000
Cr4 0.500 0.500 0.000
O1 0.124 0.750 0.315
O2 0.218 0.601 0.789
O3 0.218 0.899 0.789
O4 0.282 0.101 0.289
O5 0.282 0.399 0.289
O6 0.376 0.250 0.815
O7 0.624 0.750 0.185
O8 0.718 0.601 0.711
O9 0.718 0.899 0.711
O10 0.782 0.101 0.211
O11 0.782 0.399 0.211
O12 0.876 0.250 0.685
```

Summary:
* E_form: -2991 meV/atom
* density: 5.095 g cm⁻³
* spin magnetization: 0.00 Bohr magnetons per cell
* uncorrected energy: -8.79 eV per atom
* SG: Pnma (62)

First-principles (GGA+U) data for an optimized crystal structure of ZrCrO4, as listed in the Materials Project.

```
data_ZrCrO4
_symmetry_space_group_name_H-M 'P 1'
_symmetry_Int_Tables_number 1
_cell_length_a 4.760
_cell_length_b 11.854
_cell_length_c 4.939
_cell_angle_alpha 90.00
_cell_angle_beta 90.00
_cell_angle_gamma 90.00
loop_
_symmetry_equiv_pos_as_xyz
'x,y,z'
loop_
_atom_site_label
_atom_site_fract_x
_atom_site_fract_y
_atom_site_fract_z
Zr1 0.000 0.171 0.250
Zr2 0.000 0.829 0.750
Zr3 0.500 0.329 0.750
Zr4 0.500 0.671 0.250
Cr1 0.000 0.434 0.250
Cr2 0.000 0.566 0.750
Cr3 0.500 0.066 0.750
Cr4 0.500 0.934 0.250
O1 0.221 0.316 0.090
O2 0.221 0.684 0.590
O3 0.224 0.445 0.568
O4 0.224 0.555 0.068
O5 0.276 0.055 0.068
O6 0.276 0.945 0.568
O7 0.279 0.184 0.590
O8 0.279 0.816 0.090
O9 0.721 0.184 0.910
O10 0.721 0.816 0.410
O11 0.724 0.055 0.432
O12 0.724 0.945 0.932
O13 0.776 0.445 0.932
O14 0.776 0.555 0.432
O15 0.779 0.316 0.410
O16 0.779 0.684 0.910
```

Summary:
* E_form: -2862 meV/atom
* density: 4.939 g cm⁻³
* spin magnetization: 8.00 Bohr magnetons per cell
* uncorrected energy: -8.40 eV per atom
* SG: Pbcn (60)

First-principles (GGA+U) data for an optimized crystal structure of Cs2Cu3NiF10, as listed in the Materials Project.

```
data_Cs2Cu3NiF10
_symmetry_space_group_name_H-M 'P 1'
_symmetry_Int_Tables_number 1
_cell_length_a 6.795
_cell_length_b 6.862
_cell_length_c 7.232
_cell_angle_alpha 62.09
_cell_angle_beta 62.46
_cell_angle_gamma 66.02
loop_
_symmetry_equiv_pos_as_xyz
'x,y,z'
loop_
_atom_site_label
_atom_site_fract_x
_atom_site_fract_y
_atom_site_fract_z
Cs1 0.115 0.121 0.126
Cs2 0.885 0.879 0.874
Cu1 0.000 0.500 0.500
Cu2 0.500 0.000 0.500
Cu3 0.500 0.500 0.500
Ni1 0.500 0.500 0.000
F1 0.163 0.552 0.191
F2 0.214 0.711 0.503
F3 0.241 0.237 0.576
F4 0.416 0.427 0.813
F5 0.450 0.839 0.806
F6 0.550 0.161 0.194
F7 0.584 0.573 0.187
F8 0.759 0.763 0.424
F9 0.786 0.289 0.497
F10 0.837 0.448 0.809
```

Summary:
* E_form: -2246 meV/atom
* density: 4.568 g cm⁻³
* spin magnetization: 1.00 Bohr magnetons per cell
* uncorrected energy: -4.24 eV per atom
* SG: P-1 (2)

First-principles (GGA+U) data for an optimized crystal structure of CsVCuF6, as listed in the Materials Project.

```
data_CsVCuF6
_symmetry_space_group_name_H-M 'P 1'
_symmetry_Int_Tables_number 1
_cell_length_a 7.503
_cell_length_b 7.503
_cell_length_c 7.503
_cell_angle_alpha 122.35
_cell_angle_beta 118.96
_cell_angle_gamma 88.89
loop_
_symmetry_equiv_pos_as_xyz
'x,y,z'
loop_
_atom_site_label
_atom_site_fract_x
_atom_site_fract_y
_atom_site_fract_z
Cs1 0.372 0.122 0.250
Cs2 0.628 0.878 0.750
V1 0.000 0.500 0.500
V2 0.500 0.500 0.000
Cu1 0.000 0.000 0.500
Cu2 0.000 0.500 0.000
F1 0.066 0.816 0.250
F2 0.075 0.429 0.261
F3 0.075 0.815 0.646
F4 0.312 0.562 0.750
F5 0.332 0.185 0.761
F6 0.332 0.571 0.146
F7 0.668 0.429 0.854
F8 0.668 0.815 0.239
F9 0.688 0.438 0.250
F10 0.925 0.185 0.354
F11 0.925 0.571 0.739
F12 0.934 0.184 0.750
```

Summary:
* E_form: -2755 meV/atom
* density: 4.065 g cm⁻³
* spin magnetization: 6.48 Bohr magnetons per cell
* uncorrected energy: -5.10 eV per atom
* SG: Imma (74)

First-principles (GGA+U) data for an optimized crystal structure of CsDyMo2O8, as listed in the Materials Project.

```
data_CsDyMo2O8
_symmetry_space_group_name_H-M 'P 1'
_symmetry_Int_Tables_number 1
_cell_length_a 9.774
_cell_length_b 5.095
_cell_length_c 8.179
_cell_angle_alpha 90.00
_cell_angle_beta 92.00
_cell_angle_gamma 90.00
loop_
_symmetry_equiv_pos_as_xyz
'x,y,z'
loop_
_atom_site_label
_atom_site_fract_x
_atom_site_fract_y
_atom_site_fract_z
Cs1 0.000 0.037 0.250
Cs2 0.000 0.963 0.750
Dy1 0.500 0.001 0.750
Dy2 0.500 0.999 0.250
Mo1 0.307 0.477 0.492
Mo2 0.307 0.523 0.992
Mo3 0.693 0.477 0.008
Mo4 0.693 0.523 0.508
O1 0.142 0.390 0.983
O2 0.142 0.610 0.483
O3 0.318 0.259 0.318
O4 0.318 0.261 0.667
O5 0.318 0.739 0.167
O6 0.318 0.741 0.818
O7 0.434 0.247 0.997
O8 0.434 0.753 0.497
O9 0.566 0.247 0.503
O10 0.566 0.753 0.003
O11 0.682 0.259 0.182
O12 0.682 0.261 0.833
O13 0.682 0.739 0.333
O14 0.682 0.741 0.682
O15 0.858 0.390 0.517
O16 0.858 0.610 0.017
```

Summary:
* E_form: -2549 meV/atom
* density: 5.020 g cm⁻³
* spin magnetization: 0.01 Bohr magnetons per cell
* uncorrected energy: -7.12 eV per atom
* SG: P2/c (13)

First-principles (GGA+U) data for an optimized crystal structure of CsEuW2O8, as listed in the Materials Project.

```
data_CsEuW2O8
_symmetry_space_group_name_H-M 'P 1'
_symmetry_Int_Tables_number 1
_cell_length_a 7.788
_cell_length_b 7.788
_cell_length_c 7.636
_cell_angle_alpha 116.88
_cell_angle_beta 116.88
_cell_angle_gamma 90.13
loop_
_symmetry_equiv_pos_as_xyz
'x,y,z'
loop_
_atom_site_label
_atom_site_fract_x
_atom_site_fract_y
_atom_site_fract_z
Cs1 0.198 0.802 0.750
Cs2 0.802 0.198 0.250
Eu1 0.226 0.774 0.250
Eu2 0.774 0.226 0.750
W1 0.304 0.314 0.278
W2 0.314 0.304 0.778
W3 0.686 0.696 0.222
W4 0.696 0.686 0.722
O1 0.057 0.214 0.698
O2 0.073 0.381 0.133
O3 0.214 0.057 0.198
O4 0.251 0.379 0.562
O5 0.373 0.583 0.030
O6 0.379 0.251 0.062
O7 0.381 0.073 0.633
O8 0.417 0.627 0.470
O9 0.583 0.373 0.530
O10 0.619 0.927 0.367
O11 0.621 0.749 0.938
O12 0.627 0.417 0.970
O13 0.749 0.621 0.438
O14 0.786 0.943 0.802
O15 0.927 0.619 0.867
O16 0.943 0.786 0.302
```

Summary:
* E_form: -2462 meV/atom
* density: 7.284 g cm⁻³
* uncorrected energy: -7.65 eV per atom
* SG: C2/c (15)